# Cs2NaPbF6 | the Materials Project | PBE-GGA | optimized geometry
data_Cs2NaPbF6
_space_group_name_H-M_alt 'P 1'
_space_group_IT_number 1
_cell_length_a 6.585
_cell_length_b 6.585
_cell_length_c 6.585
_cell_angle_alpha 60.00
_cell_angle_beta 60.00
_cell_angle_gamma 60.00
loop_
_space_group_symop_operation_xyz
'x,y,z'
loop_
_atom_site_label
_atom_site_fract_x
_atom_site_fract_y
_atom_site_fract_z
Cs1 0.250 0.250 0.250
Cs2 0.750 0.750 0.750
Na1 0.000 0.000 0.000
Pb1 0.500 0.500 0.500
F1 0.255 0.255 0.745
F2 0.255 0.745 0.255
F3 0.255 0.745 0.745
F4 0.745 0.255 0.255
F5 0.745 0.255 0.745
F6 0.745 0.745 0.255
# Symmetry: Fm-3m

---

# TiWC2 | the Materials Project | PBE-GGA | optimized geometry
data_TiWC2
_space_group_name_H-M_alt 'P 1'
_space_group_IT_number 1
_cell_length_a 5.357
_cell_length_b 5.357
_cell_length_c 5.357
_cell_angle_alpha 33.29
_cell_angle_beta 33.29
_cell_angle_gamma 33.29
loop_
_space_group_symop_operation_xyz
'x,y,z'
loop_
_atom_site_label
_atom_site_fract_x
_atom_site_fract_y
_atom_site_fract_z
Ti1 0.000 0.000 0.000
W1 0.500 0.500 0.500
C1 0.251 0.251 0.251
C2 0.749 0.749 0.749
# Symmetry: R-3m

---

Number 1: calculated total energy -43.3 eV/cell, magnetic moment 0.095 μB/atom. Number 2: calculated total energy -40.9 eV/cell, magnetic moment 0.000 μB/atom.